[1]
The following is a PBE calculation of crystalline Tb3Ni13B2 at its relaxed geometry, from the Materials Project.

Summary:
space group: P6/mmm
theoretical density: 9.087 Mg/m³
magnetization: 0.111 μB/atom
calculated total energy: -110.09 eV for the cell shown

Structure (POSCAR):
```
Tb3Ni13B2
1.0
4.939 0.000 0.000
-2.470 4.277 0.000
0.000 0.000 10.911
Tb Ni B
3 13 2
Direct
0.000 0.000 0.000
0.000 0.000 0.328
0.000 0.000 0.672
0.000 0.500 0.134
0.000 0.500 0.500
0.000 0.500 0.866
0.333 0.667 0.319
0.333 0.667 0.681
0.500 0.000 0.134
0.500 0.000 0.500
0.500 0.000 0.866
0.500 0.500 0.134
0.500 0.500 0.500
0.500 0.500 0.866
0.667 0.333 0.319
0.667 0.333 0.681
0.333 0.667 0.000
0.667 0.333 0.000
```

[2]
The following is a PBE calculation of crystalline TbNiB4 at its relaxed geometry, from the Materials Project.

Summary:
space group: I4/mmm
theoretical density: 7.124 Mg/m³
calculated total energy: -162.44 eV for the cell shown

Structure (POSCAR):
```
TbNiB4
1.0
-3.776 3.776 4.265
3.776 -3.776 4.265
3.776 3.776 -4.265
Tb Ni B
4 4 16
Direct
0.203 0.203 0.000
0.250 0.750 0.500
0.750 0.250 0.500
0.797 0.797 0.000
0.272 0.500 0.772
0.500 0.272 0.772
0.500 0.728 0.228
0.728 0.500 0.228
0.112 0.275 0.387
0.112 0.725 0.836
0.114 0.114 0.532
0.114 0.581 0.000
0.275 0.112 0.387
0.275 0.888 0.164
0.419 0.419 0.532
0.419 0.886 0.000
0.581 0.114 0.000
0.581 0.581 0.468
0.725 0.112 0.836
0.725 0.888 0.613
0.886 0.419 0.000
0.886 0.886 0.468
0.888 0.275 0.164
0.888 0.725 0.613
```

[3]
The following is a PBE calculation of crystalline Tb3Ni19B10 at its relaxed geometry, from the Materials Project.

Summary:
space group: C2/m
theoretical density: 8.499 Mg/m³
magnetization: 0.000 μB/atom
calculated total energy: -204.23 eV for the cell shown

Structure (POSCAR):
```
Tb3Ni19B10
1.0
6.577 -4.365 0.000
6.577 4.365 0.000
-0.133 0.000 5.786
Tb Ni B
3 19 10
Direct
0.000 0.000 0.000
0.374 0.374 0.615
0.626 0.626 0.385
0.000 0.000 0.500
0.045 0.517 0.302
0.122 0.623 0.927
0.163 0.163 0.703
0.182 0.182 0.271
0.230 0.711 0.302
0.289 0.770 0.698
0.377 0.878 0.073
0.378 0.378 0.127
0.483 0.955 0.698
0.517 0.045 0.302
0.622 0.622 0.873
0.623 0.122 0.927
0.711 0.230 0.302
0.770 0.289 0.698
0.818 0.818 0.729
0.837 0.837 0.297
0.878 0.377 0.073
0.955 0.483 0.698
0.064 0.700 0.569
0.142 0.349 0.975
0.300 0.936 0.431
0.349 0.142 0.975
0.384 0.616 0.000
0.616 0.384 0.000
0.651 0.858 0.025
0.700 0.064 0.569
0.858 0.651 0.025
0.936 0.300 0.431
```